No. 1
This record from Materials Project describes a relaxed LiVF4 crystal. The functional is PBE+U.

The energy above the most stable polymorph in this dataset comes out at 0.015 eV/atom. Its crystal system is tetragonal. For the largest piezoelectric modulus, the calculation gives 0.12 C/m².

abc: 5.643 5.643 5.643
angles: 107.56 107.56 113.37
Atoms (fractional coordinates):
1 Li 0.000 0.000 0.000
2 Li 0.750 0.250 0.500
3 V 0.274 0.774 0.500
4 V 0.524 0.524 0.000
5 F 0.223 0.522 0.701
6 F 0.272 0.072 0.799
7 F 0.272 0.473 0.201
8 F 0.301 0.000 0.301
9 F 0.699 0.000 0.699
10 F 0.750 0.551 0.801
11 F 0.750 0.949 0.199
12 F 0.822 0.522 0.299

---

No. 2
This record from Materials Project describes a relaxed LiVO2 crystal. The functional is PBE+U.

Its crystal system is triclinic.

abc: 5.944 5.980 5.981
angles: 88.37 60.77 60.70
Atoms (fractional coordinates):
1 Li 0.000 0.000 0.000
2 Li 0.249 0.945 0.556
3 Li 0.500 0.500 0.500
4 Li 0.751 0.055 0.444
5 V 0.000 0.500 0.000
6 V 0.000 0.500 0.500
7 V 0.500 0.000 0.000
8 V 0.500 0.500 0.000
9 O 0.003 0.255 0.256
10 O 0.036 0.711 0.224
11 O 0.467 0.275 0.788
12 O 0.493 0.243 0.247
13 O 0.507 0.757 0.753
14 O 0.533 0.725 0.212
15 O 0.964 0.289 0.776
16 O 0.997 0.745 0.744

---

No. 3
This record from Materials Project describes a relaxed Sr2TiFeO6 crystal. The functional is PBE+U.

Its crystal system is orthorhombic.

abc: 11.158 11.158 3.922
angles: 90.00 90.00 90.21
Atoms (fractional coordinates):
1 Sr 0.122 0.878 0.000
2 Sr 0.126 0.371 0.000
3 Sr 0.371 0.126 0.000
4 Sr 0.378 0.622 0.000
5 Sr 0.622 0.378 0.000
6 Sr 0.629 0.874 0.000
7 Sr 0.874 0.629 0.000
8 Sr 0.878 0.122 0.000
9 Ti 0.127 0.623 0.500
10 Ti 0.377 0.873 0.500
11 Ti 0.623 0.127 0.500
12 Ti 0.873 0.377 0.500
13 Fe 0.125 0.125 0.500
14 Fe 0.376 0.376 0.500
15 Fe 0.624 0.624 0.500
16 Fe 0.875 0.875 0.500
17 O 0.000 0.000 0.500
18 O 0.000 0.500 0.500
19 O 0.008 0.248 0.500
20 O 0.120 0.630 0.000
21 O 0.127 0.127 0.000
22 O 0.243 0.757 0.500
23 O 0.248 0.008 0.500
24 O 0.248 0.508 0.500
25 O 0.253 0.253 0.500
26 O 0.370 0.880 0.000
27 O 0.376 0.376 0.000
28 O 0.492 0.752 0.500
29 O 0.500 0.000 0.500
30 O 0.500 0.500 0.500
31 O 0.508 0.248 0.500
32 O 0.624 0.624 0.000
33 O 0.630 0.120 0.000
34 O 0.747 0.747 0.500
35 O 0.752 0.492 0.500
36 O 0.752 0.992 0.500
37 O 0.757 0.243 0.500
38 O 0.873 0.873 0.000
39 O 0.880 0.370 0.000
40 O 0.992 0.752 0.500

---

No. 4
This record from Materials Project describes a relaxed SrLaFeBiO6 crystal. The functional is PBE+U.

Its crystal system is cubic.

abc: 5.875 5.875 5.875
angles: 60.00 60.00 60.00
Atoms (fractional coordinates):
1 Sr 0.000 0.000 0.000
2 La 0.500 0.500 0.500
3 Fe 0.250 0.250 0.250
4 Bi 0.750 0.750 0.750
5 O 0.012 0.012 0.488
6 O 0.012 0.488 0.012
7 O 0.012 0.488 0.488
8 O 0.488 0.012 0.012
9 O 0.488 0.012 0.488
10 O 0.488 0.488 0.012

---

No. 5
This record from Materials Project describes a relaxed Li3VPCO7 crystal. The functional is PBE+U.

The energy above the most stable polymorph in this dataset comes out at 0.013 eV/atom.

abc: 8.164 8.164 8.638
angles: 90.93 89.06 73.92
Atoms (fractional coordinates):
1 Li 0.506 0.781 0.117
2 Li 0.006 0.282 0.117
3 Li 0.531 0.256 0.883
4 Li 0.031 0.756 0.883
5 Li 0.329 0.119 0.303
6 Li 0.829 0.619 0.303
7 Li 0.869 0.079 0.697
8 Li 0.369 0.579 0.697
9 Li 0.751 0.979 0.367
10 Li 0.251 0.479 0.367
11 Li 0.229 0.001 0.633
12 Li 0.729 0.501 0.633
13 V 0.109 0.871 0.246
14 V 0.121 0.358 0.754
15 V 0.608 0.371 0.246
16 V 0.621 0.858 0.754
17 P 0.472 0.760 0.419
18 P 0.972 0.261 0.419
19 P 0.511 0.222 0.581
20 P 0.011 0.722 0.581
21 C 0.778 0.012 0.038
22 C 0.278 0.512 0.038
23 C 0.262 0.028 0.962
24 C 0.762 0.528 0.962
25 O 0.918 0.893 0.060
26 O 0.418 0.393 0.060
27 O 0.143 0.168 0.940
28 O 0.643 0.668 0.940
29 O 0.289 0.973 0.106
30 O 0.789 0.473 0.106
31 O 0.723 0.039 0.894
32 O 0.223 0.539 0.894
33 O 0.691 0.103 0.149
34 O 0.191 0.603 0.149
35 O 0.353 0.941 0.851
36 O 0.853 0.441 0.851
37 O 0.445 0.603 0.334
38 O 0.945 0.103 0.334
39 O 0.353 0.195 0.666
40 O 0.853 0.695 0.666
41 O 0.614 0.812 0.326
42 O 0.114 0.312 0.326
43 O 0.562 0.364 0.674
44 O 0.062 0.864 0.674
45 O 0.468 0.263 0.408
46 O 0.969 0.763 0.408
47 O 0.513 0.719 0.592
48 O 0.013 0.219 0.592
49 O 0.303 0.908 0.414
50 O 0.803 0.408 0.414
51 O 0.658 0.053 0.586
52 O 0.158 0.553 0.586

---

No. 6
This record from Materials Project describes a relaxed Li2MnSiO4 crystal. The functional is PBE+U.

The energy above the most stable polymorph in this dataset comes out at 0.045 eV/atom. Its crystal system is monoclinic.

abc: 5.984 5.468 11.061
angles: 90.00 97.29 90.00
Atoms (fractional coordinates):
1 Li 0.043 0.178 0.168
2 Li 0.043 0.322 0.668
3 Li 0.226 0.180 0.927
4 Li 0.226 0.320 0.427
5 Li 0.774 0.680 0.573
6 Li 0.774 0.820 0.073
7 Li 0.957 0.678 0.332
8 Li 0.957 0.822 0.832
9 Mn 0.425 0.679 0.832
10 Mn 0.425 0.821 0.332
11 Mn 0.575 0.179 0.668
12 Mn 0.575 0.321 0.168
13 Si 0.257 0.682 0.089
14 Si 0.257 0.818 0.589
15 Si 0.743 0.182 0.411
16 Si 0.743 0.318 0.911
17 O 0.091 0.695 0.680
18 O 0.091 0.805 0.180
19 O 0.237 0.117 0.575
20 O 0.237 0.383 0.075
21 O 0.239 0.675 0.457
22 O 0.239 0.825 0.957
23 O 0.478 0.214 0.337
24 O 0.478 0.286 0.837
25 O 0.522 0.714 0.163
26 O 0.522 0.786 0.663
27 O 0.761 0.175 0.043
28 O 0.761 0.325 0.543
29 O 0.763 0.617 0.925
30 O 0.763 0.883 0.425
31 O 0.909 0.195 0.820
32 O 0.909 0.305 0.320

---

No. 7
This record from Materials Project describes a relaxed Sr3SmCo2O8 crystal. The functional is PBE+U.

Its crystal system is orthorhombic.

abc: 5.382 6.847 6.847
angles: 46.06 90.00 90.00
Atoms (fractional coordinates):
1 Sr 0.000 0.000 0.000
2 Sr 0.000 0.291 0.291
3 Sr 0.500 0.792 0.792
4 Sm 0.500 0.508 0.508
5 Co 0.000 0.647 0.647
6 Co 0.500 0.147 0.147
7 O 0.000 0.487 0.487
8 O 0.000 0.803 0.803
9 O 0.251 0.398 0.885
10 O 0.251 0.885 0.398
11 O 0.500 0.325 0.325
12 O 0.500 0.985 0.985
13 O 0.749 0.398 0.885
14 O 0.749 0.885 0.398

---

No. 8
This record from Materials Project describes a relaxed LiCoPO4 crystal. The functional is PBE+U.

The energy above the most stable polymorph in this dataset comes out at 0.083 eV/atom. Its crystal system is hexagonal.

abc: 10.858 10.858 11.580
angles: 90.00 90.00 120.00
Atoms (fractional coordinates):
1 Li 0.000 0.000 0.000
2 Li 0.000 0.000 0.333
3 Li 0.000 0.000 0.667
4 Li 0.000 0.500 0.156
5 Li 0.000 0.500 0.510
6 Li 0.000 0.500 0.833
7 Li 0.500 0.000 0.177
8 Li 0.500 0.000 0.500
9 Li 0.500 0.000 0.823
10 Li 0.500 0.500 0.167
11 Li 0.500 0.500 0.490
12 Li 0.500 0.500 0.844
13 Co 0.000 0.248 0.833
14 Co 0.000 0.752 0.833
15 Co 0.246 0.492 0.500
16 Co 0.246 0.754 0.167
17 Co 0.248 0.000 0.500
18 Co 0.248 0.248 0.167
19 Co 0.492 0.246 0.833
20 Co 0.508 0.754 0.833
21 Co 0.752 0.000 0.500
22 Co 0.752 0.752 0.167
23 Co 0.754 0.246 0.167
24 Co 0.754 0.508 0.500
25 P 0.000 0.253 0.333
26 P 0.000 0.747 0.333
27 P 0.253 0.000 0.000
28 P 0.253 0.253 0.667
29 P 0.253 0.505 0.000
30 P 0.253 0.747 0.667
31 P 0.495 0.747 0.333
32 P 0.505 0.253 0.333
33 P 0.747 0.000 0.000
34 P 0.747 0.253 0.667
35 P 0.747 0.495 0.000
36 P 0.747 0.747 0.667
37 O 0.062 0.372 0.426
38 O 0.062 0.691 0.240
39 O 0.106 0.213 0.719
40 O 0.106 0.893 0.948
41 O 0.107 0.213 0.281
42 O 0.107 0.894 0.386
43 O 0.125 0.421 0.917
44 O 0.125 0.704 0.750
45 O 0.200 0.590 0.072
46 O 0.200 0.609 0.594
47 O 0.213 0.106 0.614
48 O 0.213 0.107 0.052
49 O 0.296 0.421 0.083
50 O 0.296 0.875 0.583
51 O 0.309 0.372 0.574
52 O 0.309 0.938 0.093
53 O 0.372 0.062 0.907
54 O 0.372 0.309 0.760
55 O 0.391 0.590 0.928
56 O 0.391 0.800 0.739
57 O 0.410 0.609 0.406
58 O 0.410 0.800 0.261
59 O 0.421 0.125 0.417
60 O 0.421 0.296 0.250
61 O 0.579 0.704 0.250
62 O 0.579 0.875 0.417
63 O 0.590 0.200 0.261
64 O 0.590 0.391 0.406
65 O 0.609 0.200 0.739
66 O 0.609 0.410 0.928
67 O 0.628 0.691 0.760
68 O 0.628 0.938 0.907
69 O 0.691 0.062 0.093
70 O 0.691 0.628 0.574
71 O 0.704 0.125 0.583
72 O 0.704 0.579 0.083
73 O 0.787 0.893 0.052
74 O 0.787 0.894 0.614
75 O 0.800 0.391 0.594
76 O 0.800 0.410 0.072
77 O 0.875 0.296 0.750
78 O 0.875 0.579 0.917
79 O 0.893 0.106 0.386
80 O 0.893 0.787 0.281
81 O 0.894 0.107 0.948
82 O 0.894 0.787 0.719
83 O 0.938 0.309 0.240
84 O 0.938 0.628 0.426

---

no.,formation energy from the elements (meV per atom)
1,-3204
2,-2418
3,-2881
4,-2343
5,-2419
6,-2645
7,-2548
8,-2325